SbCl5 | the Materials Project | r²SCAN | relaxed; E = -486.9 eV per cell; formation energy from the elements = -0.733 eV per atom
1.0
9.2202 0.0000 -3.0778
0.0000 12.2118 0.0000
-0.0104 0.0000 12.5409
Cl Sb
40 8
Direct
0.5979 0.2588 0.4582 Cl
0.7932 0.7370 0.6401 Cl
0.3961 0.5222 0.8448 Cl
0.7857 0.9797 0.4427 Cl
0.4043 0.2580 0.1818 Cl
0.2068 0.2630 0.3599 Cl
0.6039 0.0222 0.6552 Cl
0.6039 0.4778 0.1552 Cl
0.4078 0.4817 0.3345 Cl
0.7932 0.7630 0.1401 Cl
0.2185 0.7523 0.7292 Cl
0.5957 0.7420 0.8182 Cl
0.0322 0.4959 0.2466 Cl
0.7820 0.4873 0.4350 Cl
0.2068 0.2370 0.8599 Cl
0.2143 0.4797 0.0573 Cl
0.9678 0.9959 0.2534 Cl
0.5979 0.2412 0.9582 Cl
0.7815 0.2477 0.2708 Cl
0.9748 0.7457 0.9184 Cl
0.3961 0.9778 0.3448 Cl
0.4021 0.7588 0.0418 Cl
0.7857 0.5203 0.9427 Cl
0.0322 0.0041 0.7466 Cl
0.2143 0.0203 0.5573 Cl
0.4043 0.2420 0.6818 Cl
0.7815 0.2523 0.7708 Cl
0.9748 0.7543 0.4184 Cl
0.9678 0.5041 0.7534 Cl
0.2180 0.9873 0.0650 Cl
0.7820 0.0127 0.9350 Cl
0.2185 0.7477 0.2292 Cl
0.5957 0.7580 0.3182 Cl
0.2180 0.5127 0.5650 Cl
0.4021 0.7412 0.5418 Cl
0.0252 0.2543 0.0816 Cl
0.0252 0.2457 0.5816 Cl
0.5922 0.5183 0.6655 Cl
0.4078 0.0183 0.8345 Cl
0.5922 0.9817 0.1655 Cl
0.6212 0.3682 0.3119 Sb
0.3788 0.8682 0.1881 Sb
0.8120 0.6276 0.7966 Sb
0.6212 0.1318 0.8119 Sb
0.3788 0.6318 0.6881 Sb
0.1880 0.1276 0.7034 Sb
0.8120 0.8724 0.2966 Sb
0.1880 0.3724 0.2034 Sb



SbCl5 | the Materials Project | r²SCAN | relaxed; E = -121.6 eV per cell; formation energy from the elements = -0.719 eV per atom
1.0
-5.6142 3.7920 -3.3123
1.3719 -7.1583 -1.9357
-5.0808 -2.5219 5.7247
Cl Sb
10 2
Direct
0.6667 0.3333 0.0429 Cl
0.1567 0.8433 0.2500 Cl
0.6866 0.8433 0.2500 Cl
0.6667 0.3333 0.4571 Cl
0.1567 0.3134 0.2500 Cl
0.3333 0.6667 0.9571 Cl
0.3134 0.1567 0.7500 Cl
0.8433 0.6866 0.7500 Cl
0.3333 0.6667 0.5429 Cl
0.8433 0.1567 0.7500 Cl
0.6667 0.3333 0.7500 Sb
0.3333 0.6667 0.2500 Sb



ScCl3 | the Materials Project | r²SCAN | relaxed; E = -78.5 eV per cell; formation energy from the elements = -2.343 eV per atom
1.0
5.7577 0.0398 4.1891
2.1544 5.3396 4.1891
0.0586 0.0398 7.1202
Cl Sc
6 2
Direct
0.0774 0.4370 0.7181 Cl
0.9226 0.5630 0.2819 Cl
0.7181 0.0774 0.4370 Cl
0.4370 0.7181 0.0774 Cl
0.5630 0.2819 0.9226 Cl
0.2819 0.9226 0.5630 Cl
0.3333 0.3333 0.3333 Sc
0.6667 0.6667 0.6667 Sc



SeCl4 | the Materials Project | r²SCAN | relaxed; E = -325.4 eV per cell; formation energy from the elements = -0.350 eV per atom
1.0
9.4405 0.0133 -2.5870
-5.0788 8.3258 -0.8383
-0.0303 0.0000 14.6023
Cl Se
32 8
Direct
0.5720 0.6278 0.6927 Cl
0.1116 0.4833 0.6250 Cl
0.4280 0.3722 0.3073 Cl
0.7153 0.2155 0.9719 Cl
0.6203 0.9892 0.6293 Cl
0.8299 0.1409 0.4644 Cl
0.0650 0.6260 0.1886 Cl
0.0340 0.2457 0.2555 Cl
0.0626 0.1236 0.6886 Cl
0.7436 0.7434 0.5281 Cl
0.5098 0.2215 0.7555 Cl
0.1401 0.0090 0.1293 Cl
0.4902 0.7785 0.2445 Cl
0.2830 0.6417 0.4314 Cl
0.5649 0.1207 0.1927 Cl
0.1764 0.3654 0.0356 Cl
0.2898 0.1484 0.9314 Cl
0.7170 0.3583 0.5686 Cl
0.3797 0.0108 0.3707 Cl
0.8884 0.5167 0.3750 Cl
0.8236 0.6346 0.9644 Cl
0.9660 0.7543 0.7445 Cl
0.4351 0.8793 0.8073 Cl
0.2564 0.2566 0.4719 Cl
0.6417 0.5133 0.1250 Cl
0.9374 0.8764 0.3114 Cl
0.8599 0.9910 0.8707 Cl
0.3583 0.4867 0.8750 Cl
0.1701 0.8591 0.5356 Cl
0.2847 0.7845 0.0281 Cl
0.7102 0.8516 0.0686 Cl
0.9350 0.3740 0.8114 Cl
0.7954 0.8357 0.6837 Se
0.1515 0.2681 0.8879 Se
0.3480 0.8884 0.1837 Se
0.8801 0.2636 0.6121 Se
0.8485 0.7319 0.1121 Se
0.2046 0.1643 0.3163 Se
0.1199 0.7364 0.3879 Se
0.6520 0.1116 0.8163 Se



Q: Among the records above, which one has the lowest formation energy from the elements?
A: ScCl3